1.
A relaxed structure of TiBe, computed with PBE.

Output
Raw total energy = -5.96 eV per atom

a = 2.9307 Å, b = 2.9307 Å, c = 2.9307 Å
α = 90.00°, β = 90.00°, γ = 90.00°
With the nearest neighbours (Å) after each atom.
Fractional coordinates of all 2 atoms:
Ti (0.5000, 0.5000, 0.5000)  8 Be 2.54
Be (0.0000, 0.0000, 0.0000)  8 Ti 2.54

---

2.
A relaxed structure of Mg14SiBiO16, computed with PBE.

Output
ΔE to the lowest computed polymorph = 35.3 meV/atom

a = 8.7602 Å, b = 8.7602 Å, c = 4.4470 Å
α = 90.00°, β = 90.00°, γ = 90.00°
With the nearest neighbours (Å) after each atom.
Fractional coordinates of all 32 atoms:
Mg (0.0000, 0.5000, 0.0000)  6 O 2.00-2.22
Mg (0.5000, 0.0000, 0.0000)  6 O 2.00-2.22
Mg (0.0000, 0.2511, 0.5000)  6 O 2.18-2.22
Mg (0.0000, 0.7489, 0.5000)  6 O 2.18-2.22
Mg (0.5000, 0.2376, 0.5000)  6 O 2.08-2.30
Mg (0.5000, 0.7624, 0.5000)  6 O 2.08-2.30
Mg (0.2511, 0.0000, 0.5000)  6 O 2.18-2.22
Mg (0.2376, 0.5000, 0.5000)  6 O 2.08-2.30
Mg (0.7489, 0.0000, 0.5000)  6 O 2.18-2.22
Mg (0.7624, 0.5000, 0.5000)  6 O 2.08-2.30
Mg (0.2441, 0.2441, 0.0000)  6 O 2.14-2.25
Mg (0.2441, 0.7559, 0.0000)  6 O 2.14-2.25
Mg (0.7559, 0.2441, 0.0000)  6 O 2.14-2.25
Mg (0.7559, 0.7559, 0.0000)  6 O 2.14-2.25
Si (0.0000, 0.0000, 0.0000)  6 O 2.22-2.26
Bi (0.5000, 0.5000, 0.0000)  6 O 2.22-2.38
O (0.2582, 0.0000, 0.0000)  5 Mg 2.12-2.22, 1 Si 2.26
O (0.2280, 0.5000, 0.0000)  3 Mg 2.00-2.23
O (0.7418, 0.0000, 0.0000)  5 Mg 2.12-2.22, 1 Si 2.26
O (0.7720, 0.5000, 0.0000)  3 Mg 2.00-2.23
O (0.2492, 0.2492, 0.5000)  6 Mg 2.18-2.22
O (0.2492, 0.7508, 0.5000)  6 Mg 2.18-2.22
O (0.7508, 0.2492, 0.5000)  6 Mg 2.18-2.22
O (0.7508, 0.7508, 0.5000)  6 Mg 2.18-2.22
O (0.0000, 0.0000, 0.5000)  4 Mg 2.20, 2 Si 2.22
O (0.0000, 0.5000, 0.5000)  6 Mg 2.08-2.22
O (0.5000, 0.0000, 0.5000)  6 Mg 2.08-2.22
O (0.5000, 0.5000, 0.5000)  2 Bi 2.22, 4 Mg 2.30
O (0.0000, 0.2582, 0.0000)  5 Mg 2.12-2.22, 1 Si 2.26
O (0.0000, 0.7418, 0.0000)  5 Mg 2.12-2.22, 1 Si 2.26
O (0.5000, 0.2280, 0.0000)  3 Mg 2.00-2.23
O (0.5000, 0.7720, 0.0000)  3 Mg 2.00-2.23